Compound: Mn5H4S3O15
Source: Materials Project
Functional: PBE with a Hubbard U
Structure: relaxed

a b c (Å): 7.7585 8.3098 10.8107
angles (deg): 90.00 101.70 90.00
Positions (direct):
Mn  0.5638  0.5433  0.3607
Mn  0.4362  0.0433  0.6393
Mn  0.4362  0.4567  0.6393
Mn  0.5638  0.9567  0.3607
Mn  0.1906  0.4529  0.1100
Mn  0.8094  0.9529  0.8900
Mn  0.8094  0.5471  0.8900
Mn  0.1906  0.0471  0.1100
Mn  0.5572  0.7500  0.1111
Mn  0.4428  0.2500  0.8889
H  0.5342  0.4279  0.1381
H  0.4658  0.9279  0.8619
H  0.4658  0.5721  0.8619
H  0.5342  0.0721  0.1381
H  0.1222  0.2500  0.9205
H  0.8778  0.7500  0.0795
H  0.8269  0.7500  0.3276
H  0.1731  0.2500  0.6724
S  0.2621  0.2500  0.3900
S  0.7379  0.7500  0.6100
S  0.8278  0.2500  0.1186
S  0.1722  0.7500  0.8814
S  0.1793  0.7500  0.3245
S  0.8207  0.2500  0.6755
O  0.2407  0.2500  0.2443
O  0.7593  0.7500  0.7557
O  0.3821  0.3986  0.4331
O  0.6179  0.8986  0.5669
O  0.6179  0.6014  0.5669
O  0.3821  0.1014  0.4331
O  0.8956  0.3975  0.0535
O  0.1044  0.8975  0.9465
O  0.1044  0.6025  0.9465
O  0.8956  0.1025  0.0535
O  0.6264  0.2500  0.0693
O  0.3736  0.7500  0.9307
O  0.3869  0.7500  0.3376
O  0.6131  0.2500  0.6624
O  0.1159  0.6026  0.2453
O  0.8841  0.1026  0.7547
O  0.8841  0.3974  0.7547
O  0.1159  0.8974  0.2453
O  0.4660  0.5190  0.1623
O  0.5340  0.0190  0.8377
O  0.5340  0.4810  0.8377
O  0.4660  0.9810  0.1623
O  0.2293  0.2500  0.9865
O  0.7707  0.7500  0.0135
O  0.6984  0.7500  0.3090
O  0.3016  0.2500  0.6910
O  0.7352  0.4079  0.3666
O  0.2648  0.9079  0.6334
O  0.2648  0.5921  0.6334
O  0.7352  0.0921  0.3666

Results
ΔE_f (meV/atom): -1610
Density (g cm⁻³): 3.0

Compound: MnH2SO4
Source: Materials Project
Functional: PBE with a Hubbard U
Structure: relaxed

a b c (Å): 4.9134 6.0231 12.3785
angles (deg): 90.00 90.00 93.56
Positions (direct):
Mn  0.3719  0.1982  0.2752
Mn  0.6281  0.8018  0.7248
Mn  0.1282  0.3017  0.7752
Mn  0.8718  0.6983  0.2248
H  0.5951  0.4244  0.8957
H  0.9049  0.0756  0.3957
H  0.4049  0.5756  0.1043
H  0.0951  0.9244  0.6043
H  0.4666  0.2386  0.9733
H  0.0334  0.2614  0.4733
H  0.5334  0.7614  0.0267
H  0.9666  0.7386  0.5267
S  0.0600  0.7953  0.8953
S  0.4400  0.7047  0.3953
S  0.9400  0.2047  0.1047
S  0.5600  0.2953  0.6047
O  0.4431  0.4837  0.6765
O  0.0569  0.0162  0.1765
O  0.5569  0.5163  0.3235
O  0.9431  0.9838  0.8235
O  0.9171  0.5852  0.8375
O  0.5829  0.9148  0.3375
O  0.0829  0.4148  0.1625
O  0.4171  0.0852  0.6625
O  0.3630  0.7959  0.8696
O  0.1370  0.7041  0.3696
O  0.6370  0.2041  0.1304
O  0.8630  0.2959  0.6304
O  0.9364  0.8184  0.5941
O  0.5636  0.6816  0.0941
O  0.0636  0.1816  0.4059
O  0.4364  0.3184  0.9059

Results
ΔE_f (meV/atom): -1628
Offset from the most stable computed form (eV per atom): 0.000
Density (g cm⁻³): 2.8

Compound: MnH10SO9
Source: Materials Project
Functional: PBE with a Hubbard U
Structure: relaxed

a b c (Å): 6.1799 6.3327 10.9600
angles (deg): 75.46 81.59 70.05
Positions (direct):
Mn  0.0000  0.0000  0.0000
Mn  0.0000  0.5000  0.5000
H  0.7295  0.8981  0.8522
H  0.2705  0.1019  0.1478
H  0.7648  0.7092  0.9824
H  0.2352  0.2908  0.0176
H  0.6393  0.3606  0.8721
H  0.3607  0.6394  0.1279
H  0.8795  0.3441  0.7926
H  0.1205  0.6559  0.2074
H  0.6213  0.3374  0.6285
H  0.3787  0.6626  0.3715
H  0.5445  0.6128  0.6134
H  0.4555  0.3872  0.3866
H  0.8187  0.8725  0.6255
H  0.1813  0.1275  0.3745
H  0.0921  0.8244  0.6057
H  0.9079  0.1756  0.3943
H  0.2861  0.6136  0.8679
H  0.7139  0.3864  0.1321
H  0.2695  0.4193  0.8077
H  0.7305  0.5807  0.1923
S  0.3432  0.0257  0.7143
S  0.6568  0.9743  0.2857
O  0.2858  0.9194  0.8479
O  0.7142  0.0806  0.1521
O  0.1727  0.2623  0.6795
O  0.8273  0.7377  0.3205
O  0.3377  0.8792  0.6288
O  0.6623  0.1208  0.3712
O  0.5793  0.0484  0.7047
O  0.4207  0.9516  0.2953
O  0.8341  0.8167  0.9210
O  0.1659  0.1833  0.0790
O  0.8085  0.3208  0.8789
O  0.1915  0.6792  0.1211
O  0.6741  0.4736  0.6007
O  0.3259  0.5264  0.3993
O  0.9652  0.7702  0.5939
O  0.0348  0.2298  0.4061
O  0.3397  0.4453  0.8750
O  0.6603  0.5547  0.1250

Results
ΔE_f (meV/atom): -1487
Density (g cm⁻³): 2.1

Compound: Mn5H8S3O16
Source: Materials Project
Functional: PBE with a Hubbard U
Structure: relaxed

a b c (Å): 7.7969 8.7049 11.0243
angles (deg): 90.00 101.80 90.00
Positions (direct):
Mn  0.5491  0.7500  0.1091
Mn  0.4509  0.2500  0.8909
Mn  0.1924  0.0517  0.1048
Mn  0.8076  0.5517  0.8952
Mn  0.8076  0.9483  0.8952
Mn  0.1924  0.4483  0.1048
Mn  0.5488  0.9460  0.3609
Mn  0.4512  0.4460  0.6391
Mn  0.4512  0.0540  0.6391
Mn  0.5488  0.5540  0.3609
H  0.8869  0.0304  0.3318
H  0.1131  0.5304  0.6682
H  0.1131  0.9696  0.6682
H  0.8869  0.4696  0.3318
H  0.8577  0.1224  0.4516
H  0.1423  0.6224  0.5484
H  0.1423  0.8776  0.5484
H  0.8577  0.3776  0.4516
H  0.5300  0.0618  0.1358
H  0.4700  0.5618  0.8642
H  0.4700  0.9382  0.8642
H  0.5300  0.4382  0.1358
H  0.8088  0.7500  0.3358
H  0.1912  0.2500  0.6642
H  0.8688  0.7500  0.0797
H  0.1312  0.2500  0.9203
S  0.1636  0.7500  0.8873
S  0.8364  0.2500  0.1127
S  0.2686  0.2500  0.3863
S  0.7314  0.7500  0.6137
S  0.1500  0.7500  0.3074
S  0.8500  0.2500  0.6926
O  0.3642  0.7500  0.9330
O  0.6358  0.2500  0.0670
O  0.0965  0.8912  0.9512
O  0.9035  0.3912  0.0488
O  0.9035  0.1088  0.0488
O  0.0965  0.6088  0.9512
O  0.3873  0.1090  0.4325
O  0.6127  0.6090  0.5675
O  0.6127  0.8910  0.5675
O  0.3873  0.3910  0.4325
O  0.2510  0.2500  0.2441
O  0.7490  0.7500  0.7559
O  0.0744  0.7500  0.4213
O  0.9256  0.2500  0.5787
O  0.3473  0.7500  0.3418
O  0.6527  0.2500  0.6582
O  0.0901  0.6091  0.2347
O  0.9099  0.1091  0.7653
O  0.9099  0.3909  0.7653
O  0.0901  0.8909  0.2347
O  0.7991  0.0642  0.3776
O  0.2009  0.5642  0.6224
O  0.2009  0.9358  0.6224
O  0.7991  0.4358  0.3776
O  0.4604  0.9769  0.1596
O  0.5396  0.4769  0.8404
O  0.5396  0.0231  0.8404
O  0.4604  0.5231  0.1596
O  0.6818  0.7500  0.3039
O  0.3182  0.2500  0.6961
O  0.7622  0.7500  0.0149
O  0.2378  0.2500  0.9851

Results
ΔE_f (meV/atom): -1710
Density (g cm⁻³): 2.9

Compound: MnH8S2O12
Source: Materials Project
Functional: PBE with a Hubbard U
Structure: relaxed

a b c (Å): 11.4661 11.4661 11.0273
angles (deg): 68.62 68.62 48.13
Positions (direct):
Mn  0.0000  0.5000  0.0000
Mn  0.7494  0.2506  0.7500
Mn  0.5000  0.0000  0.5000
Mn  0.2506  0.7494  0.2500
H  0.9819  0.7479  0.9792
H  0.2465  0.4848  0.9658
H  0.6530  0.0943  0.9604
H  0.9965  0.9650  0.8335
H  0.4629  0.4967  0.8332
H  0.1938  0.2092  0.9509
H  0.7220  0.6814  0.9492
H  0.6048  0.1315  0.8193
H  0.8685  0.3952  0.6807
H  0.3186  0.2780  0.5508
H  0.7479  0.9819  0.4792
H  0.7908  0.8062  0.5491
H  0.4848  0.2465  0.4658
H  0.0943  0.6530  0.4604
H  0.9650  0.9965  0.3335
H  0.4967  0.4629  0.3332
H  0.5033  0.5371  0.6668
H  0.0350  0.0035  0.6665
H  0.9057  0.3470  0.5396
H  0.5152  0.7535  0.5342
H  0.2092  0.1938  0.4509
H  0.2521  0.0181  0.5208
H  0.6814  0.7220  0.4492
H  0.1315  0.6048  0.3193
H  0.3952  0.8685  0.1807
H  0.2780  0.3186  0.0508
H  0.8062  0.7908  0.0491
H  0.5371  0.5033  0.1668
H  0.0035  0.0350  0.1665
H  0.3470  0.9057  0.0396
H  0.7535  0.5152  0.0342
H  0.0181  0.2521  0.0208
S  0.2301  0.7334  0.9671
S  0.5003  0.9813  0.7996
S  0.0187  0.4997  0.7004
S  0.7334  0.2301  0.4671
S  0.2666  0.7699  0.5329
S  0.9813  0.5003  0.2996
S  0.4997  0.0187  0.2004
S  0.7699  0.2666  0.0329
O  0.0619  0.8261  0.9510
O  0.3220  0.5669  0.9489
O  0.9117  0.7172  0.9943
O  0.2216  0.4111  0.9768
O  0.6399  0.1608  0.8688
O  0.9550  0.0450  0.7500
O  0.5435  0.4565  0.7500
O  0.3609  0.0338  0.9102
O  0.0140  0.5582  0.8090
O  0.6372  0.8173  0.8369
O  0.5367  0.0931  0.7492
O  0.7174  0.2162  0.6145
O  0.1916  0.6985  0.6158
O  0.3015  0.8084  0.8842
O  0.7838  0.2826  0.8855
O  0.9069  0.4633  0.7508
O  0.1827  0.3628  0.6631
O  0.4418  0.9860  0.6910
O  0.9662  0.6391  0.5898
O  0.8261  0.0619  0.4510
O  0.5669  0.3220  0.4489
O  0.7172  0.9117  0.4943
O  0.4111  0.2216  0.4768
O  0.8392  0.3601  0.6312
O  0.1608  0.6399  0.3688
O  0.5889  0.7784  0.5232
O  0.2828  0.0883  0.5057
O  0.0450  0.9550  0.2500
O  0.4565  0.5435  0.2500
O  0.4331  0.6780  0.5511
O  0.1739  0.9381  0.5490
O  0.0338  0.3609  0.4102
O  0.5582  0.0140  0.3090
O  0.8173  0.6372  0.3369
O  0.0931  0.5367  0.2492
O  0.2162  0.7174  0.1145
O  0.6985  0.1916  0.1158
O  0.8084  0.3015  0.3842
O  0.2826  0.7838  0.3855
O  0.4633  0.9069  0.2508
O  0.3628  0.1827  0.1631
O  0.9860  0.4418  0.1910
O  0.6391  0.9662  0.0898
O  0.3601  0.8392  0.1312
O  0.7784  0.5889  0.0232
O  0.0883  0.2828  0.0057
O  0.6780  0.4331  0.0511
O  0.9381  0.1739  0.0490

Results
ΔE_f (meV/atom): -1500
Density (g cm⁻³): 2.1

Compound: MnH2SO4
Source: Materials Project
Functional: PBE with a Hubbard U
Structure: relaxed

a b c (Å): 5.0295 5.9453 13.4426
angles (deg): 90.00 90.00 90.68
Positions (direct):
Mn  0.1241  0.3100  0.7644
Mn  0.3759  0.1900  0.2644
Mn  0.8759  0.6900  0.2356
Mn  0.6241  0.8100  0.7356
H  0.5749  0.3188  0.9019
H  0.9251  0.1812  0.4019
H  0.4251  0.6812  0.0981
H  0.0749  0.8188  0.5981
H  0.3178  0.2931  0.9680
H  0.1822  0.2069  0.4680
H  0.6822  0.7069  0.0320
H  0.8178  0.7931  0.5320
S  0.0559  0.8084  0.8836
S  0.4441  0.6916  0.3836
S  0.9441  0.1916  0.1164
S  0.5559  0.3084  0.6164
O  0.4257  0.5089  0.6755
O  0.0743  0.9911  0.1755
O  0.5743  0.4911  0.3245
O  0.9257  0.0089  0.8245
O  0.9210  0.6050  0.8259
O  0.5790  0.8950  0.3259
O  0.0790  0.3950  0.1741
O  0.4210  0.1050  0.6741
O  0.3480  0.8100  0.8583
O  0.1520  0.6900  0.3583
O  0.6520  0.1900  0.1417
O  0.8480  0.3100  0.6417
O  0.8808  0.8206  0.5994
O  0.6192  0.6794  0.0994
O  0.1192  0.1794  0.4006
O  0.3808  0.3206  0.9006

Results
ΔE_f (meV/atom): -1607
Offset from the most stable computed form (eV per atom): 0.021
Density (g cm⁻³): 2.5

Compound: MnH10SeO9
Source: Materials Project
Functional: PBE with a Hubbard U
Structure: relaxed

a b c (Å): 6.3317 6.4500 11.1254
angles (deg): 75.39 81.64 70.45
Positions (direct):
Mn  0.0000  0.0000  0.0000
Mn  0.0000  0.5000  0.5000
H  0.7374  0.8942  0.8573
H  0.2626  0.1058  0.1427
H  0.7598  0.7157  0.9888
H  0.2402  0.2843  0.0112
H  0.8833  0.3469  0.7929
H  0.1167  0.6531  0.2071
H  0.6501  0.3552  0.8709
H  0.3499  0.6448  0.1291
H  0.5537  0.5958  0.6096
H  0.4463  0.4042  0.3904
H  0.6405  0.3242  0.6298
H  0.3595  0.6758  0.3702
H  0.0972  0.8135  0.6007
H  0.9028  0.1865  0.3993
H  0.8295  0.8682  0.6245
H  0.1705  0.1318  0.3755
H  0.3026  0.6060  0.8744
H  0.6974  0.3940  0.1256
H  0.2796  0.4308  0.8054
H  0.7204  0.5692  0.1946
Se  0.3515  0.0177  0.7122
Se  0.6485  0.9823  0.2878
O  0.2839  0.8994  0.8593
O  0.7161  0.1006  0.1407
O  0.1710  0.2802  0.6754
O  0.8290  0.7198  0.3246
O  0.3463  0.8565  0.6171
O  0.6537  0.1435  0.3829
O  0.6107  0.0401  0.7057
O  0.3893  0.9599  0.2943
O  0.8329  0.8170  0.9281
O  0.1671  0.1830  0.0719
O  0.8146  0.3158  0.8777
O  0.1854  0.6842  0.1223
O  0.6852  0.4624  0.6002
O  0.3148  0.5376  0.3998
O  0.9676  0.7673  0.5899
O  0.0324  0.2327  0.4101
O  0.3501  0.4424  0.8754
O  0.6499  0.5576  0.1246

Results
ΔE_f (meV/atom): -1341
Density (g cm⁻³): 2.3